# 1
Computed, not measured: an optimized crystal structure of LiVAsO5 at the meta-GGA r2SCAN level of DFT.

Summary:
crystal system: orthorhombic

Cell lengths 7.4772, 6.4911, 7.4657 Å; angles 90.00, 90.00, 90.00 degrees
Fractional coordinates of all 32 atoms:
Li: 0.0000 0.0000 0.0000
Li: 0.0000 0.5000 0.0000
Li: 0.5000 0.0000 0.5000
Li: 0.5000 0.5000 0.5000
V: 0.1694 0.2500 0.2723
V: 0.3306 0.7500 0.7723
V: 0.6694 0.2500 0.2277
V: 0.8306 0.7500 0.7277
As: 0.1244 0.7500 0.3728
As: 0.3756 0.2500 0.8728
As: 0.6244 0.7500 0.1272
As: 0.8756 0.2500 0.6272
O: 0.0645 0.2500 0.5059
O: 0.1154 0.7500 0.8273
O: 0.1266 0.5449 0.2329
O: 0.1266 0.9551 0.2329
O: 0.1857 0.2500 0.9992
O: 0.3143 0.7500 0.4992
O: 0.3734 0.0449 0.7329
O: 0.3734 0.4551 0.7329
O: 0.3846 0.2500 0.3273
O: 0.4355 0.7500 0.0059
O: 0.5645 0.2500 0.9941
O: 0.6154 0.7500 0.6727
O: 0.6266 0.5449 0.2671
O: 0.6266 0.9551 0.2671
O: 0.6857 0.2500 0.5008
O: 0.8143 0.7500 0.0008
O: 0.8734 0.0449 0.7671
O: 0.8734 0.4551 0.7671
O: 0.8846 0.2500 0.1727
O: 0.9355 0.7500 0.4941

# 2
Computed, not measured: an optimized crystal structure of LuAsO4 at the meta-GGA r2SCAN level of DFT.

Summary:
crystal system: tetragonal

Cell lengths 5.7921, 5.7921, 5.7921 Å; angles 106.75, 106.75, 115.06 degrees
Fractional coordinates of all 12 atoms:
Lu: 0.3750 0.6250 0.7500
Lu: 0.6250 0.3750 0.2500
As: 0.1250 0.8750 0.2500
As: 0.8750 0.1250 0.7500
O: 0.1298 0.6955 0.4342
O: 0.2387 0.3045 0.9342
O: 0.3045 0.2387 0.4342
O: 0.3045 0.8702 0.0658
O: 0.6955 0.1298 0.9342
O: 0.6955 0.7613 0.5658
O: 0.7613 0.6955 0.0658
O: 0.8702 0.3045 0.5658

# 3
Computed, not measured: an optimized crystal structure of LuAsSe at the meta-GGA r2SCAN level of DFT.

Summary:
crystal system: orthorhombic

Cell lengths 17.1503, 3.8370, 3.8620 Å; angles 90.00, 90.00, 90.00 degrees
Fractional coordinates of all 12 atoms:
Lu: 0.1399 0.2500 0.2399
Lu: 0.3601 0.7500 0.7399
Lu: 0.6399 0.2500 0.2601
Lu: 0.8601 0.7500 0.7601
As: 0.0014 0.2500 0.7172
As: 0.4986 0.7500 0.2172
As: 0.5014 0.2500 0.7828
As: 0.9986 0.7500 0.2828
Se: 0.1878 0.7500 0.7425
Se: 0.3122 0.2500 0.2425
Se: 0.6878 0.7500 0.7575
Se: 0.8122 0.2500 0.2575

# 4
Computed, not measured: an optimized crystal structure of Mg3As2 at the meta-GGA r2SCAN level of DFT.

Summary:
crystal system: trigonal
E above lowest polymorph: 32 meV/atom

Cell lengths 4.2610, 4.2610, 6.7384 Å; angles 90.00, 90.00, 120.00 degrees
Fractional coordinates of all 5 atoms:
Mg: 0.0000 0.0000 0.0000
Mg: 0.3333 0.6667 0.6427
Mg: 0.6667 0.3333 0.3573
As: 0.3333 0.6667 0.2330
As: 0.6667 0.3333 0.7670

# 5
Computed, not measured: an optimized crystal structure of Mg3As2 at the meta-GGA r2SCAN level of DFT.

Summary:
crystal system: cubic
E above lowest polymorph: 0 meV/atom

Cell lengths 10.7060, 10.7060, 10.7060 Å; angles 109.47, 109.47, 109.47 degrees
Fractional coordinates of all 40 atoms:
Mg: 0.0070 0.0306 0.2658
Mg: 0.0236 0.4930 0.7589
Mg: 0.0306 0.2658 0.0070
Mg: 0.2342 0.2647 0.7411
Mg: 0.2353 0.4694 0.4764
Mg: 0.2411 0.9764 0.5070
Mg: 0.2589 0.7658 0.7353
Mg: 0.2647 0.7411 0.2342
Mg: 0.2658 0.0070 0.0306
Mg: 0.4694 0.4764 0.2353
Mg: 0.4764 0.2353 0.4694
Mg: 0.4930 0.7589 0.0236
Mg: 0.5070 0.2411 0.9764
Mg: 0.5236 0.7647 0.5306
Mg: 0.5306 0.5236 0.7647
Mg: 0.7342 0.9930 0.9694
Mg: 0.7353 0.2589 0.7658
Mg: 0.7411 0.2342 0.2647
Mg: 0.7589 0.0236 0.4930
Mg: 0.7647 0.5306 0.5236
Mg: 0.7658 0.7353 0.2589
Mg: 0.9694 0.7342 0.9930
Mg: 0.9764 0.5070 0.2411
Mg: 0.9930 0.9694 0.7342
As: 0.0000 0.0000 0.5000
As: 0.0000 0.5000 0.0000
As: 0.0220 0.7500 0.7720
As: 0.2280 0.9780 0.2500
As: 0.2500 0.2280 0.9780
As: 0.2500 0.7280 0.4780
As: 0.2720 0.5220 0.7500
As: 0.4780 0.2500 0.7280
As: 0.5000 0.0000 0.0000
As: 0.5000 0.5000 0.5000
As: 0.5220 0.7500 0.2720
As: 0.7280 0.4780 0.2500
As: 0.7500 0.2720 0.5220
As: 0.7500 0.7720 0.0220
As: 0.7720 0.0220 0.7500
As: 0.9780 0.2500 0.2280

# 6
Computed, not measured: an optimized crystal structure of Mg3AsN at the meta-GGA r2SCAN level of DFT.

Summary:
crystal system: cubic

Cell lengths 4.2063, 4.2063, 4.2063 Å; angles 90.00, 90.00, 90.00 degrees
Fractional coordinates of all 5 atoms:
Mg: 0.0000 0.0000 0.5000
Mg: 0.0000 0.5000 0.0000
Mg: 0.5000 0.0000 0.0000
As: 0.5000 0.5000 0.5000
N: 0.0000 0.0000 0.0000

# 7
Computed, not measured: an optimized crystal structure of NaMgAs at the meta-GGA r2SCAN level of DFT.

Summary:
crystal system: tetragonal

Cell lengths 4.3859, 4.3859, 7.0937 Å; angles 90.00, 90.00, 90.00 degrees
Fractional coordinates of all 6 atoms:
Na: 0.2500 0.2500 0.1337
Na: 0.7500 0.7500 0.8663
Mg: 0.2500 0.7500 0.5000
Mg: 0.7500 0.2500 0.5000
As: 0.2500 0.2500 0.7165
As: 0.7500 0.7500 0.2835

# 8
Computed, not measured: an optimized crystal structure of Mg6Ni16As7 at the meta-GGA r2SCAN level of DFT.

Summary:
crystal system: cubic

Cell lengths 8.0819, 8.0819, 8.0819 Å; angles 60.00, 60.00, 60.00 degrees
Fractional coordinates of all 29 atoms:
Mg: 0.2000 0.2000 0.8000
Mg: 0.2000 0.8000 0.2000
Mg: 0.2000 0.8000 0.8000
Mg: 0.8000 0.2000 0.2000
Mg: 0.8000 0.2000 0.8000
Mg: 0.8000 0.8000 0.2000
Ni: 0.1447 0.6184 0.6184
Ni: 0.1679 0.1679 0.1679
Ni: 0.1679 0.1679 0.4964
Ni: 0.1679 0.4964 0.1679
Ni: 0.3816 0.3816 0.3816
Ni: 0.3816 0.3816 0.8553
Ni: 0.3816 0.8553 0.3816
Ni: 0.4964 0.1679 0.1679
Ni: 0.5036 0.8321 0.8321
Ni: 0.6184 0.1447 0.6184
Ni: 0.6184 0.6184 0.1447
Ni: 0.6184 0.6184 0.6184
Ni: 0.8321 0.5036 0.8321
Ni: 0.8321 0.8321 0.5036
Ni: 0.8321 0.8321 0.8321
Ni: 0.8553 0.3816 0.3816
As: 0.0000 0.0000 0.5000
As: 0.0000 0.5000 0.0000
As: 0.0000 0.5000 0.5000
As: 0.5000 0.0000 0.0000
As: 0.5000 0.0000 0.5000
As: 0.5000 0.5000 0.0000
As: 0.5000 0.5000 0.5000

# 9
Computed, not measured: an optimized crystal structure of Mg17As6O32 at the meta-GGA r2SCAN level of DFT.

Summary:
crystal system: monoclinic

Cell lengths 9.8283, 6.0460, 10.3871 Å; angles 90.00, 110.79, 90.00 degrees
Fractional coordinates of all 55 atoms:
Mg: 0.0000 0.0000 0.0000
Mg: 0.9996 0.2599 0.2605
Mg: 0.0004 0.2599 0.7395
Mg: 0.9996 0.7401 0.2605
Mg: 0.0004 0.7401 0.7395
Mg: 0.2552 0.2587 0.5048
Mg: 0.2552 0.7413 0.5048
Mg: 0.2641 0.0000 0.7542
Mg: 0.2654 0.2463 0.0054
Mg: 0.2654 0.7537 0.0054
Mg: 0.2712 0.5000 0.2593
Mg: 0.7288 0.5000 0.7407
Mg: 0.7346 0.2463 0.9946
Mg: 0.7346 0.7537 0.9946
Mg: 0.7359 0.0000 0.2458
Mg: 0.7448 0.2587 0.4952
Mg: 0.7448 0.7413 0.4952
As: 0.0000 0.0000 0.5000
As: 0.0000 0.5000 0.0000
As: 0.4220 0.5000 0.8080
As: 0.4254 0.0000 0.3118
As: 0.5746 0.0000 0.6882
As: 0.5780 0.5000 0.1920
O: 0.1157 0.0000 0.3908
O: 0.1162 0.2832 0.1095
O: 0.1155 0.5000 0.8922
O: 0.1162 0.7168 0.1095
O: 0.1194 0.2074 0.6144
O: 0.1194 0.7926 0.6144
O: 0.1332 0.0000 0.8800
O: 0.1423 0.5000 0.3685
O: 0.3675 0.0000 0.1369
O: 0.3677 0.2691 0.8675
O: 0.3677 0.7309 0.8675
O: 0.3686 0.2301 0.3686
O: 0.3686 0.7699 0.3686
O: 0.3696 0.5000 0.6356
O: 0.3872 0.0000 0.6284
O: 0.3892 0.5000 0.1283
O: 0.6108 0.5000 0.8717
O: 0.6128 0.0000 0.3716
O: 0.6304 0.5000 0.3644
O: 0.6314 0.2301 0.6314
O: 0.6314 0.7699 0.6314
O: 0.6325 0.0000 0.8631
O: 0.6323 0.2691 0.1325
O: 0.6323 0.7309 0.1325
O: 0.8577 0.5000 0.6315
O: 0.8668 0.0000 0.1200
O: 0.8806 0.2074 0.3856
O: 0.8806 0.7926 0.3856
O: 0.8843 0.0000 0.6092
O: 0.8838 0.2832 0.8905
O: 0.8845 0.5000 0.1078
O: 0.8838 0.7168 0.8905

# 10
Computed, not measured: an optimized crystal structure of MgVAs2O7 at the meta-GGA r2SCAN level of DFT.

Summary:
crystal system: monoclinic

Cell lengths 7.8104, 8.0116, 10.5448 Å; angles 90.00, 121.86, 90.00 degrees
Fractional coordinates of all 44 atoms:
Mg: 0.2295 0.0730 0.1184
Mg: 0.2295 0.4270 0.6184
Mg: 0.7705 0.5730 0.3816
Mg: 0.7705 0.9270 0.8816
V: 0.3140 0.0520 0.7040
V: 0.3140 0.4480 0.2040
V: 0.6860 0.5520 0.7960
V: 0.6860 0.9480 0.2960
As: 0.0303 0.7224 0.7324
As: 0.0303 0.7776 0.2324
As: 0.4497 0.7161 0.0256
As: 0.4497 0.7839 0.5256
As: 0.5503 0.2161 0.4744
As: 0.5503 0.2839 0.9744
As: 0.9697 0.2224 0.7676
As: 0.9697 0.2776 0.2676
O: 0.0197 0.5750 0.6145
O: 0.0197 0.9250 0.1145
O: 0.1401 0.6017 0.2186
O: 0.1401 0.8983 0.7186
O: 0.1771 0.6665 0.9187
O: 0.1771 0.8335 0.4187
O: 0.1925 0.2459 0.7793
O: 0.1925 0.2541 0.2793
O: 0.2551 0.1868 0.5682
O: 0.2551 0.3132 0.0682
O: 0.4376 0.5914 0.6114
O: 0.4376 0.9086 0.1114
O: 0.4921 0.5883 0.1770
O: 0.4921 0.9117 0.6770
O: 0.5079 0.0883 0.3230
O: 0.5079 0.4117 0.8230
O: 0.5624 0.0914 0.8886
O: 0.5624 0.4086 0.3886
O: 0.7449 0.6868 0.9318
O: 0.7449 0.8132 0.4318
O: 0.8075 0.7459 0.7207
O: 0.8075 0.7541 0.2207
O: 0.8229 0.1665 0.5813
O: 0.8229 0.3335 0.0813
O: 0.8599 0.1017 0.2814
O: 0.8599 0.3983 0.7814
O: 0.9803 0.0750 0.8855
O: 0.9803 0.4250 0.3855

# 11
Computed, not measured: an optimized crystal structure of MgSiAs2 at the meta-GGA r2SCAN level of DFT.

Summary:
crystal system: tetragonal

Cell lengths 6.7903, 6.7903, 6.7903 Å; angles 128.38, 128.38, 76.00 degrees
Fractional coordinates of all 8 atoms:
Mg: 0.0000 0.0000 0.0000
Mg: 0.7500 0.2500 0.5000
Si: 0.2500 0.7500 0.5000
Si: 0.5000 0.5000 0.0000
As: 0.1612 0.1250 0.5362
As: 0.3750 0.8388 0.9638
As: 0.5888 0.6250 0.4638
As: 0.8750 0.4112 0.0362

# 12
Computed, not measured: an optimized crystal structure of MnNiAs at the meta-GGA r2SCAN level of DFT.

Summary:
crystal system: orthorhombic

Cell lengths 3.7513, 6.1429, 6.1429 Å; angles 119.62, 90.00, 90.00 degrees
Fractional coordinates of all 9 atoms:
Mn: 0.0000 0.0000 0.0000
Mn: 0.0000 0.1694 0.5856
Mn: 0.0000 0.5856 0.1694
Ni: 0.5000 0.3396 0.3396
Ni: 0.5000 0.5867 0.8325
Ni: 0.5000 0.8325 0.5867
As: 0.0000 0.5830 0.5830
As: 0.5000 0.2529 0.9187
As: 0.5000 0.9187 0.2529

# 13
Computed, not measured: an optimized crystal structure of Mn2As2O7 at the meta-GGA r2SCAN level of DFT.

Summary:
E above lowest polymorph: 0 meV/atom

Cell lengths 4.8310, 11.0035, 5.5254 Å; angles 75.78, 97.73, 101.51 degrees
Fractional coordinates of all 22 atoms:
Mn: 0.5007 0.8478 0.4585
Mn: 0.5028 0.1544 0.5358
Mn: 0.5007 0.3478 0.9585
Mn: 0.5028 0.6544 0.0358
As: 0.9096 0.1142 0.1191
As: 0.9095 0.6142 0.6192
As: 0.0989 0.3830 0.3888
As: 0.0989 0.8830 0.8887
O: 0.7137 0.0397 0.3617
O: 0.7136 0.5397 0.8618
O: 0.7184 0.1928 0.8752
O: 0.7183 0.6928 0.3752
O: 0.2869 0.4659 0.1473
O: 0.2869 0.9659 0.6473
O: 0.2925 0.2974 0.6231
O: 0.2924 0.7974 0.1230
O: 0.2228 0.2024 0.1963
O: 0.2228 0.7023 0.6963
O: 0.7765 0.3061 0.3009
O: 0.7765 0.8061 0.8009
O: 0.0229 0.4884 0.5481
O: 0.0231 0.9885 0.0479

# 14
Computed, not measured: an optimized crystal structure of Mn2AsO5 at the meta-GGA r2SCAN level of DFT.

Summary:
crystal system: orthorhombic

Cell lengths 8.4619, 8.6473, 6.0240 Å; angles 90.00, 90.00, 90.00 degrees
Fractional coordinates of all 32 atoms:
Mn: 0.0000 0.0000 0.2398
Mn: 0.0000 0.0000 0.7602
Mn: 0.1473 0.3736 0.5000
Mn: 0.3527 0.8736 0.0000
Mn: 0.5000 0.5000 0.2602
Mn: 0.5000 0.5000 0.7398
Mn: 0.6473 0.1264 0.0000
Mn: 0.8527 0.6264 0.5000
As: 0.2389 0.7451 0.5000
As: 0.2611 0.2451 0.0000
As: 0.7389 0.7549 0.0000
As: 0.7611 0.2549 0.5000
O: 0.0952 0.6076 0.5000
O: 0.1318 0.9297 0.0000
O: 0.1343 0.9176 0.5000
O: 0.1476 0.2299 0.2304
O: 0.1476 0.2299 0.7696
O: 0.3524 0.7299 0.2696
O: 0.3524 0.7299 0.7304
O: 0.3657 0.4176 0.0000
O: 0.3682 0.4297 0.5000
O: 0.4048 0.1076 0.0000
O: 0.5952 0.8924 0.0000
O: 0.6318 0.5703 0.5000
O: 0.6343 0.5824 0.0000
O: 0.6476 0.2701 0.2696
O: 0.6476 0.2701 0.7304
O: 0.8524 0.7701 0.2304
O: 0.8524 0.7701 0.7696
O: 0.8657 0.0824 0.5000
O: 0.8682 0.0703 0.0000
O: 0.9048 0.3924 0.5000

Number 1: DFT formation energy -2.084 eV per atom. Number 2: DFT formation energy -2.659 eV per atom. Number 3: DFT formation energy -1.566 eV per atom. Number 4: DFT formation energy -0.756 eV per atom. Number 5: DFT formation energy -0.788 eV per atom. Number 6: DFT formation energy -0.896 eV per atom. Number 7: DFT formation energy -0.786 eV per atom. Number 8: DFT formation energy -0.341 eV per atom. Number 9: DFT formation energy -2.474 eV per atom. Number 10: DFT formation energy -1.961 eV per atom. Number 11: DFT formation energy -0.416 eV per atom. Number 12: DFT formation energy -0.434 eV per atom. Number 13: DFT formation energy -1.677 eV per atom. Number 14: DFT formation energy -1.834 eV per atom.